# LiSm2Ir

A geometry-optimized LiSm2Ir structure (PBE, Materials Project).

Cell lengths 7.111, 7.111, 7.111 Å; angles 90.00, 90.00, 90.00 degrees
Space group Fm-3m (No. 225)
One atom of each set of equivalent atoms:
Li (0.000, 0.000, 0.000) x4
Sm (0.250, 0.250, 0.250) x8
Ir (0.000, 0.000, 0.500) x4

Output
- Calculated formation energy: -0.470 eV per atom
- Crystal system: cubic